# 1
This record from the Materials Project describes a relaxed Li2VFe3O8 crystal. The functional is PBE+U.

Cell lengths 8.4810, 8.4810, 8.4810 Å; angles 90.00, 90.00, 90.00 degrees
Last column: nearest neighbours and their distance in Å.
Sites, in units of the cell vectors:
Li 0.4994 0.4994 0.4994  4 O 2.02
Li 0.7506 0.7506 0.7506  4 O 2.02
Li 0.7494 0.2494 0.2506  4 O 2.02
Li 0.0006 0.5006 0.9994  4 O 2.02
Li 0.9994 0.0006 0.5006  4 O 2.02
Li 0.2506 0.7494 0.2494  4 O 2.02
Li 0.2494 0.2506 0.7494  4 O 2.02
Li 0.5006 0.9994 0.0006  4 O 2.02
V 0.6250 0.3750 0.8750  6 O 1.92
V 0.8750 0.6250 0.3750  6 O 1.92
V 0.1250 0.1250 0.1250  6 O 1.92
V 0.3750 0.8750 0.6250  6 O 1.92
Fe 0.6246 0.6254 0.1250  6 O 2.01-2.08
Fe 0.6250 0.8754 0.3746  6 O 2.01-2.08
Fe 0.6254 0.1250 0.6246  6 O 2.01-2.08
Fe 0.8746 0.8750 0.1246  6 O 2.01-2.08
Fe 0.8750 0.1246 0.8746  6 O 2.01-2.08
Fe 0.8754 0.3746 0.6250  6 O 2.01-2.08
Fe 0.1246 0.8746 0.8750  6 O 2.01-2.08
Fe 0.1250 0.6246 0.6254  6 O 2.01-2.08
Fe 0.1254 0.3750 0.3754  6 O 2.01-2.08
Fe 0.3746 0.6250 0.8754  6 O 2.01-2.08
Fe 0.3750 0.3754 0.1254  6 O 2.01-2.08
Fe 0.3754 0.1254 0.3750  6 O 2.01-2.08
O 0.6186 0.6012 0.8819  1 V 1.92, 1 Li 2.02, 2 Fe 2.07-2.08
O 0.6181 0.3814 0.1012  1 V 1.92, 1 Li 2.02, 2 Fe 2.07-2.08
O 0.6120 0.1120 0.3880  3 Fe 2.01, 1 Li 2.02
O 0.6488 0.6314 0.3681  1 V 1.92, 1 Li 2.02, 2 Fe 2.07-2.08
O 0.6012 0.8819 0.6186  1 V 1.92, 1 Li 2.02, 2 Fe 2.07-2.08
O 0.6380 0.8620 0.1380  3 Fe 2.01, 1 Li 2.02
O 0.6319 0.1488 0.8686  1 V 1.92, 1 Li 2.02, 2 Fe 2.07-2.08
O 0.6314 0.3681 0.6488  1 V 1.92, 1 Li 2.02, 2 Fe 2.07-2.08
O 0.8686 0.6319 0.1488  1 V 1.92, 1 Li 2.02, 2 Fe 2.07-2.08
O 0.8681 0.8512 0.3686  1 V 1.92, 1 Li 2.02, 2 Fe 2.07-2.08
O 0.8620 0.1380 0.6380  3 Fe 2.01, 1 Li 2.02
O 0.8988 0.1181 0.1186  1 V 1.92, 1 Li 2.02, 2 Fe 2.07-2.08
O 0.8512 0.3686 0.8681  1 V 1.92, 1 Li 2.02, 2 Fe 2.07-2.08
O 0.8880 0.8880 0.8880  3 Fe 2.01, 1 Li 2.02
O 0.8819 0.6186 0.6012  1 V 1.92, 1 Li 2.02, 2 Fe 2.07-2.08
O 0.8814 0.3988 0.3819  1 V 1.92, 1 Li 2.02, 2 Fe 2.07-2.08
O 0.1186 0.8988 0.1181  1 V 1.92, 1 Li 2.02, 2 Fe 2.07-2.08
O 0.1181 0.1186 0.8988  1 V 1.92, 1 Li 2.02, 2 Fe 2.07-2.08
O 0.1120 0.3880 0.6120  3 Fe 2.01, 1 Li 2.02
O 0.1488 0.8686 0.6319  1 V 1.92, 1 Li 2.02, 2 Fe 2.07-2.08
O 0.1012 0.6181 0.3814  1 V 1.92, 1 Li 2.02, 2 Fe 2.07-2.08
O 0.1380 0.6380 0.8620  3 Fe 2.01, 1 Li 2.02
O 0.1319 0.3512 0.1314  1 V 1.92, 1 Li 2.02, 2 Fe 2.07-2.08
O 0.1314 0.1319 0.3512  1 V 1.92, 1 Li 2.02, 2 Fe 2.07-2.08
O 0.3686 0.8681 0.8512  1 V 1.92, 1 Li 2.02, 2 Fe 2.07-2.08
O 0.3681 0.6488 0.6314  1 V 1.92, 1 Li 2.02, 2 Fe 2.07-2.08
O 0.3620 0.3620 0.3620  3 Fe 2.01, 1 Li 2.02
O 0.3988 0.3819 0.8814  1 V 1.92, 1 Li 2.02, 2 Fe 2.07-2.08
O 0.3512 0.1314 0.1319  1 V 1.92, 1 Li 2.02, 2 Fe 2.07-2.08
O 0.3880 0.6120 0.1120  3 Fe 2.01, 1 Li 2.02
O 0.3819 0.8814 0.3988  1 V 1.92, 1 Li 2.02, 2 Fe 2.07-2.08
O 0.3814 0.1012 0.6181  1 V 1.92, 1 Li 2.02, 2 Fe 2.07-2.08

Summary:
energy above the most stable polymorph in this dataset	0	meV/atom
space-group type	No. 212
size of the total moment	1.07	μB/atom
MP2020-corrected energy	-7.553	eV/atom
formation energy	-1989	meV per atom

***

# 2
This record from the Materials Project describes a relaxed Li3VFe3O8 crystal. The functional is PBE+U.

Cell lengths 5.8991, 5.9079, 9.6218 Å; angles 89.93, 89.95, 59.99 degrees
Last column: nearest neighbours and their distance in Å.
Sites, in units of the cell vectors:
Li 0.8250 0.8251 0.9432  4 O 2.00-2.19
Li 0.3506 0.8241 0.9428  4 O 2.00-2.19
Li 0.8239 0.3510 0.9429  4 O 2.00-2.19
Li 0.1750 0.6497 0.4430  4 O 1.99-2.19
Li 0.6496 0.1749 0.4429  4 O 2.00-2.19
Li 0.1755 0.1750 0.4425  4 O 2.00-2.19
V 0.6669 0.6658 0.4906  6 O 1.93-2.05
V 0.3324 0.3317 0.9906  6 O 1.91-2.04
Fe 0.8327 0.8314 0.2125  6 O 2.02-2.08
Fe 0.3379 0.8283 0.2133  6 O 2.01-2.11
Fe 0.8291 0.3376 0.2137  6 O 2.01-2.12
Fe 0.1672 0.6631 0.7128  6 O 2.02-2.09
Fe 0.6628 0.1668 0.7133  6 O 2.01-2.10
Fe 0.1693 0.1683 0.7135  6 O 2.01-2.10
O 0.0012 0.0008 0.3214  3 Fe 2.01-2.02, 3 Li 2.13-2.14
O 0.8333 0.8331 0.5912  1 V 1.96, 2 Fe 2.07
O 0.5210 0.9601 0.3481  2 Li 2.00, 1 V 2.04, 2 Fe 2.06-2.07
O 0.9617 0.5201 0.3477  2 Li 1.99-2.00, 1 V 2.04, 2 Fe 2.06-2.07
O 0.3377 0.8307 0.5910  1 V 1.94, 2 Fe 2.09
O 0.6674 0.6662 0.0965  3 Fe 2.02-2.03, 3 Li 2.19
O 0.5185 0.5187 0.3468  2 Li 2.00, 2 Fe 2.04, 1 V 2.05
O 0.8296 0.3388 0.5906  1 V 1.93, 2 Fe 2.10
O 0.1676 0.6671 0.0909  1 V 1.97, 2 Fe 2.06-2.07
O 0.4789 0.4799 0.8488  2 Li 2.00, 1 V 2.03, 2 Fe 2.07
O 0.0370 0.4826 0.8473  2 Li 2.00, 1 V 2.04, 2 Fe 2.05-2.07
O 0.0004 0.0008 0.8210  3 Fe 2.01-2.02, 3 Li 2.14
O 0.3331 0.3330 0.5964  3 Fe 2.02-2.03, 3 Li 2.19
O 0.6644 0.1685 0.0920  1 V 1.96, 2 Fe 2.07-2.08
O 0.4813 0.0377 0.8469  2 Li 2.00, 1 V 2.04, 2 Fe 2.05
O 0.1716 0.1691 0.0895  1 V 1.91, 2 Fe 2.11-2.12

Summary:
energy above the most stable polymorph in this dataset	10	meV/atom
space-group type	No. 1
size of the total moment	1.07	μB/atom
MP2020-corrected energy	-7.336	eV/atom
formation energy	-2016	meV per atom

***

# 3
This record from the Materials Project describes a relaxed Li2VFeO4 crystal. The functional is PBE+U.

Cell lengths 5.9314, 5.8944, 5.9216 Å; angles 60.20, 120.73, 119.80 degrees
Last column: nearest neighbours and their distance in Å.
Sites, in units of the cell vectors:
Li 0.0013 0.5011 0.9998  6 O 2.08-2.20
Li 0.5005 0.5011 0.9996  6 O 2.12-2.14
Li 0.5004 0.5012 0.4987  6 O 2.14-2.23
Li 0.5012 0.0024 0.9989  6 O 2.11-2.18
V 0.0005 0.5007 0.4997  6 O 2.04-2.06
V 0.0005 0.0007 0.4996  6 O 2.02-2.11
Fe 0.0008 0.0005 0.0004  6 O 1.99-2.02
Fe 0.5003 0.0010 0.4993  6 O 1.96-2.15
O 0.7729 0.7662 0.2455  1 Fe 2.00, 2 V 2.03-2.05, 3 Li 2.12-2.22
O 0.2487 0.7635 0.2605  2 Fe 1.98-2.02, 1 V 2.06, 3 Li 2.14-2.18
O 0.2351 0.7491 0.7420  2 V 2.02-2.04, 3 Li 2.08-2.13, 1 Fe 2.15
O 0.7485 0.7761 0.7460  2 Fe 1.97-1.99, 1 V 2.11, 3 Li 2.12-2.20
O 0.2526 0.2254 0.2532  2 Fe 1.96-1.99, 1 V 2.11, 3 Li 2.12-2.19
O 0.7660 0.2525 0.2570  2 V 2.02-2.04, 3 Li 2.08-2.14, 1 Fe 2.15
O 0.7524 0.2380 0.7387  2 Fe 1.98-2.02, 1 V 2.06, 3 Li 2.15-2.18
O 0.2281 0.2352 0.7537  1 Fe 2.00, 2 V 2.03-2.05, 3 Li 2.11-2.23

Summary:
energy above the most stable polymorph in this dataset	17	meV/atom
space-group type	No. 1
size of the total moment	0.88	μB/atom
MP2020-corrected energy	-7.330	eV/atom
formation energy	-2185	meV per atom

***

> What is the size of the total moment in the first record?

1.07 μB/atom

***

> What is the formula in the third record?

Li2VFeO4